## i
Density functional theory data (PBE-GGA) for a relaxed NaZnP3O9 crystal.

Cell: 14.460 14.460 14.460 Å, 90.00 90.00 90.00°
Fractional coordinates of all 224 atoms:
Na1 0.000 0.000 0.000
Na2 0.000 0.000 0.500
Na3 0.000 0.500 0.000
Na4 0.000 0.500 0.500
Na5 0.249 0.249 0.249
Na6 0.249 0.251 0.749
Na7 0.251 0.749 0.249
Na8 0.251 0.751 0.749
Na9 0.500 0.000 0.000
Na10 0.500 0.000 0.500
Na11 0.500 0.500 0.000
Na12 0.500 0.500 0.500
Na13 0.749 0.249 0.251
Na14 0.749 0.251 0.751
Na15 0.751 0.749 0.251
Na16 0.751 0.751 0.751
Zn1 0.122 0.122 0.122
Zn2 0.122 0.378 0.622
Zn3 0.131 0.631 0.869
Zn4 0.131 0.869 0.369
Zn5 0.369 0.131 0.869
Zn6 0.369 0.369 0.369
Zn7 0.378 0.622 0.122
Zn8 0.378 0.878 0.622
Zn9 0.622 0.122 0.378
Zn10 0.622 0.378 0.878
Zn11 0.631 0.631 0.631
Zn12 0.631 0.869 0.131
Zn13 0.869 0.131 0.631
Zn14 0.869 0.369 0.131
Zn15 0.878 0.622 0.378
Zn16 0.878 0.878 0.878
P1 0.012 0.230 0.775
P2 0.012 0.270 0.275
P3 0.022 0.026 0.758
P4 0.022 0.474 0.258
P5 0.026 0.742 0.522
P6 0.026 0.758 0.022
P7 0.225 0.512 0.270
P8 0.225 0.988 0.770
P9 0.230 0.725 0.512
P10 0.230 0.775 0.012
P11 0.242 0.522 0.474
P12 0.242 0.978 0.974
P13 0.258 0.022 0.474
P14 0.258 0.478 0.974
P15 0.270 0.225 0.512
P16 0.270 0.275 0.012
P17 0.275 0.012 0.270
P18 0.275 0.488 0.770
P19 0.474 0.242 0.522
P20 0.474 0.258 0.022
P21 0.478 0.526 0.758
P22 0.478 0.974 0.258
P23 0.488 0.730 0.775
P24 0.488 0.770 0.275
P25 0.512 0.230 0.725
P26 0.512 0.270 0.225
P27 0.522 0.026 0.742
P28 0.522 0.474 0.242
P29 0.526 0.742 0.978
P30 0.526 0.758 0.478
P31 0.725 0.512 0.230
P32 0.725 0.988 0.730
P33 0.730 0.725 0.988
P34 0.730 0.775 0.488
P35 0.742 0.522 0.026
P36 0.742 0.978 0.526
P37 0.758 0.022 0.026
P38 0.758 0.478 0.526
P39 0.770 0.225 0.988
P40 0.770 0.275 0.488
P41 0.775 0.012 0.230
P42 0.775 0.488 0.730
P43 0.974 0.242 0.978
P44 0.974 0.258 0.478
P45 0.978 0.526 0.742
P46 0.978 0.974 0.242
P47 0.988 0.730 0.725
P48 0.988 0.770 0.225
O1 0.013 0.227 0.378
O2 0.013 0.273 0.878
O3 0.017 0.027 0.162
O4 0.017 0.473 0.662
O5 0.027 0.162 0.017
O6 0.027 0.338 0.517
O7 0.032 0.669 0.967
O8 0.032 0.831 0.467
O9 0.033 0.532 0.831
O10 0.033 0.968 0.331
O11 0.050 0.127 0.797
O12 0.050 0.373 0.297
O13 0.085 0.219 0.223
O14 0.085 0.281 0.723
O15 0.085 0.725 0.762
O16 0.085 0.775 0.262
O17 0.122 0.513 0.227
O18 0.122 0.987 0.727
O19 0.127 0.703 0.550
O20 0.127 0.797 0.050
O21 0.162 0.017 0.027
O22 0.162 0.483 0.527
O23 0.169 0.533 0.968
O24 0.169 0.967 0.468
O25 0.203 0.550 0.373
O26 0.203 0.950 0.873
O27 0.219 0.223 0.085
O28 0.219 0.277 0.585
O29 0.223 0.085 0.219
O30 0.223 0.415 0.719
O31 0.225 0.738 0.915
O32 0.225 0.762 0.415
O33 0.227 0.122 0.513
O34 0.227 0.378 0.013
O35 0.238 0.585 0.775
O36 0.238 0.915 0.275
O37 0.262 0.085 0.775
O38 0.262 0.415 0.275
O39 0.273 0.622 0.513
O40 0.273 0.878 0.013
O41 0.275 0.238 0.915
O42 0.275 0.262 0.415
O43 0.277 0.585 0.219
O44 0.277 0.915 0.719
O45 0.281 0.723 0.085
O46 0.281 0.777 0.585
O47 0.297 0.050 0.373
O48 0.297 0.450 0.873
O49 0.331 0.033 0.968
O50 0.331 0.467 0.468
O51 0.338 0.517 0.027
O52 0.338 0.983 0.527
O53 0.373 0.203 0.550
O54 0.373 0.297 0.050
O55 0.378 0.013 0.227
O56 0.378 0.487 0.727
O57 0.415 0.225 0.762
O58 0.415 0.275 0.262
O59 0.415 0.719 0.223
O60 0.415 0.781 0.723
O61 0.450 0.627 0.797
O62 0.450 0.873 0.297
O63 0.467 0.032 0.831
O64 0.467 0.468 0.331
O65 0.468 0.169 0.967
O66 0.468 0.331 0.467
O67 0.473 0.662 0.017
O68 0.473 0.838 0.517
O69 0.483 0.527 0.162
O70 0.483 0.973 0.662
O71 0.487 0.727 0.378
O72 0.487 0.773 0.878
O73 0.513 0.227 0.122
O74 0.513 0.273 0.622
O75 0.517 0.027 0.338
O76 0.517 0.473 0.838
O77 0.527 0.162 0.483
O78 0.527 0.338 0.983
O79 0.532 0.669 0.533
O80 0.532 0.831 0.033
O81 0.533 0.532 0.669
O82 0.533 0.968 0.169
O83 0.550 0.127 0.703
O84 0.550 0.373 0.203
O85 0.585 0.219 0.277
O86 0.585 0.281 0.777
O87 0.585 0.725 0.738
O88 0.585 0.775 0.238
O89 0.622 0.513 0.273
O90 0.622 0.987 0.773
O91 0.627 0.703 0.950
O92 0.627 0.797 0.450
O93 0.662 0.017 0.473
O94 0.662 0.483 0.973
O95 0.669 0.533 0.532
O96 0.669 0.967 0.032
O97 0.703 0.550 0.127
O98 0.703 0.950 0.627
O99 0.719 0.223 0.415
O100 0.719 0.277 0.915
O101 0.723 0.085 0.281
O102 0.723 0.415 0.781
O103 0.725 0.738 0.585
O104 0.725 0.762 0.085
O105 0.727 0.122 0.987
O106 0.727 0.378 0.487
O107 0.738 0.585 0.725
O108 0.738 0.915 0.225
O109 0.762 0.085 0.725
O110 0.762 0.415 0.225
O111 0.773 0.622 0.987
O112 0.773 0.878 0.487
O113 0.775 0.238 0.585
O114 0.775 0.262 0.085
O115 0.777 0.585 0.281
O116 0.777 0.915 0.781
O117 0.781 0.723 0.415
O118 0.781 0.777 0.915
O119 0.797 0.050 0.127
O120 0.797 0.450 0.627
O121 0.831 0.033 0.532
O122 0.831 0.467 0.032
O123 0.838 0.517 0.473
O124 0.838 0.983 0.973
O125 0.873 0.203 0.950
O126 0.873 0.297 0.450
O127 0.878 0.013 0.273
O128 0.878 0.487 0.773
O129 0.915 0.225 0.738
O130 0.915 0.275 0.238
O131 0.915 0.719 0.277
O132 0.915 0.781 0.777
O133 0.950 0.627 0.703
O134 0.950 0.873 0.203
O135 0.967 0.032 0.669
O136 0.967 0.468 0.169
O137 0.968 0.169 0.533
O138 0.968 0.331 0.033
O139 0.973 0.662 0.483
O140 0.973 0.838 0.983
O141 0.983 0.527 0.338
O142 0.983 0.973 0.838
O143 0.987 0.727 0.122
O144 0.987 0.773 0.622

Output
Magnetization (μB per formula unit): 0.0

## ii
Density functional theory data (PBE-GGA) for a relaxed NaZnP3O9 crystal.

Cell: 12.766 12.766 12.766 Å, 109.47 109.47 109.47°
Fractional coordinates of all 112 atoms:
Na1 0.000 0.280 0.500
Na2 0.000 0.780 0.500
Na3 0.220 0.220 0.220
Na4 0.280 0.500 0.000
Na5 0.500 0.000 0.280
Na6 0.500 0.000 0.780
Na7 0.720 0.720 0.720
Na8 0.780 0.500 0.000
Zn1 0.000 0.030 0.500
Zn2 0.000 0.530 0.500
Zn3 0.030 0.500 0.000
Zn4 0.470 0.470 0.470
Zn5 0.500 0.000 0.030
Zn6 0.500 0.000 0.530
Zn7 0.530 0.500 0.000
Zn8 0.970 0.970 0.970
P1 0.006 0.220 0.942
P2 0.058 0.563 0.277
P3 0.063 0.558 0.777
P4 0.214 0.494 0.437
P5 0.220 0.942 0.006
P6 0.223 0.786 0.780
P7 0.277 0.058 0.563
P8 0.280 0.286 0.723
P9 0.286 0.723 0.280
P10 0.437 0.214 0.494
P11 0.442 0.720 0.506
P12 0.494 0.437 0.214
P13 0.506 0.442 0.720
P14 0.558 0.777 0.063
P15 0.563 0.277 0.058
P16 0.714 0.937 0.994
P17 0.720 0.506 0.442
P18 0.723 0.280 0.286
P19 0.777 0.063 0.558
P20 0.780 0.223 0.786
P21 0.786 0.780 0.223
P22 0.937 0.994 0.714
P23 0.942 0.006 0.220
P24 0.994 0.714 0.937
O1 0.002 0.971 0.638
O2 0.006 0.593 0.366
O3 0.021 0.145 0.822
O4 0.029 0.166 0.031
O5 0.031 0.029 0.166
O6 0.087 0.360 0.994
O7 0.093 0.506 0.866
O8 0.125 0.479 0.301
O9 0.134 0.727 0.640
O10 0.135 0.969 0.498
O11 0.138 0.471 0.502
O12 0.140 0.227 0.634
O13 0.145 0.822 0.021
O14 0.166 0.031 0.029
O15 0.176 0.875 0.855
O16 0.178 0.699 0.324
O17 0.199 0.678 0.824
O18 0.227 0.634 0.140
O19 0.273 0.413 0.407
O20 0.301 0.125 0.479
O21 0.322 0.645 0.521
O22 0.324 0.178 0.699
O23 0.334 0.362 0.865
O24 0.355 0.375 0.676
O25 0.360 0.994 0.087
O26 0.362 0.865 0.334
O27 0.365 0.862 0.834
O28 0.366 0.006 0.593
O29 0.375 0.676 0.355
O30 0.407 0.273 0.413
O31 0.413 0.407 0.273
O32 0.469 0.635 0.998
O33 0.471 0.502 0.138
O34 0.479 0.301 0.125
O35 0.494 0.860 0.587
O36 0.498 0.135 0.969
O37 0.502 0.138 0.471
O38 0.506 0.866 0.093
O39 0.521 0.322 0.645
O40 0.529 0.531 0.666
O41 0.531 0.666 0.529
O42 0.587 0.494 0.860
O43 0.593 0.366 0.006
O44 0.625 0.801 0.979
O45 0.634 0.140 0.227
O46 0.635 0.998 0.469
O47 0.638 0.002 0.971
O48 0.640 0.134 0.727
O49 0.645 0.521 0.322
O50 0.666 0.529 0.531
O51 0.676 0.355 0.375
O52 0.678 0.824 0.199
O53 0.699 0.324 0.178
O54 0.727 0.640 0.134
O55 0.773 0.907 0.913
O56 0.801 0.979 0.625
O57 0.822 0.021 0.145
O58 0.824 0.199 0.678
O59 0.834 0.365 0.862
O60 0.855 0.176 0.875
O61 0.860 0.587 0.494
O62 0.862 0.834 0.365
O63 0.865 0.334 0.362
O64 0.866 0.093 0.506
O65 0.875 0.855 0.176
O66 0.907 0.913 0.773
O67 0.913 0.773 0.907
O68 0.969 0.498 0.135
O69 0.971 0.638 0.002
O70 0.979 0.625 0.801
O71 0.994 0.087 0.360
O72 0.998 0.469 0.635

Output
Magnetization (μB per formula unit): 0.0

Most stable: ii